1.
Compound: Al2Se3
Source: Materials Project
Functional: GGA-PBE
Structure: relaxed

Unit cell a=6.8468 b=6.8902 c=7.4351 alpha=116.57 beta=90.00 gamma=119.79
Positions (direct):
Se (0.7519, 0.3237, 0.9976)
Al (0.7352, 0.5992, 0.8835)
Se (0.5719, 0.3237, 0.4976)
Al (0.3623, 0.9175, 0.8706)
Se (0.4148, 0.6567, 0.9851)
Se (0.2418, 0.6567, 0.4851)
Se (0.9120, 0.0030, 0.5133)
Al (0.8640, 0.5992, 0.3835)
Al (0.5553, 0.9175, 0.3706)
Se (0.0910, 0.0030, 0.0133)

## Properties
As for the formation energy: -1.123 eV per atom. The space group is Cc (9). As for the total energy after the MP2020 corrections: -4.719 eV/atom. The value obtained for the piezoelectric modulus e_max is 0.2 C/m2.

2.
Compound: Tb9Al5Se21
Source: Materials Project
Functional: GGA-PBE
Structure: relaxed

Unit cell a=12.0300 b=12.0300 c=12.0300 alpha=94.51 beta=94.51 gamma=94.51
Positions (direct):
Tb (0.0706, 0.2201, 0.4509)
Se (0.5179, 0.2725, 0.3792)
Tb (0.7907, 0.4176, 0.5629)
Se (0.2178, 0.1333, 0.6451)
Tb (0.1258, 0.7542, 0.8976)
Tb (0.2296, 0.6013, 0.4494)
Se (0.9031, 0.7610, 0.0056)
Tb (0.5629, 0.7907, 0.4176)
Se (0.3382, 0.2428, 0.1060)
Se (0.6565, 0.9897, 0.3242)
Al (0.1165, 0.4505, 0.7763)
Se (0.8442, 0.2827, 0.3695)
Se (0.3242, 0.6565, 0.9897)
Al (0.3307, 0.3307, 0.3307)
Al (0.6125, 0.2798, 0.9509)
Se (0.8520, 0.6209, 0.7150)
Se (0.7015, 0.1904, 0.6163)
Se (0.8950, 0.7994, 0.3073)
Se (0.0056, 0.9031, 0.7610)
Se (0.2428, 0.1060, 0.3382)
Se (0.3792, 0.5179, 0.2725)
Al (0.4505, 0.7763, 0.1165)
Al (0.8302, 0.8302, 0.8302)
Se (0.5257, 0.9376, 0.0343)
Se (0.8249, 0.4890, 0.1563)
Al (0.7763, 0.1165, 0.4505)
Tb (0.5442, 0.9240, 0.7755)
Se (0.9604, 0.0569, 0.2095)
Se (0.3073, 0.8950, 0.7994)
Al (0.1443, 0.1443, 0.1443)
Tb (0.8860, 0.2595, 0.1212)
Se (0.6163, 0.7015, 0.1904)
Se (0.3695, 0.8442, 0.2827)
Se (0.5522, 0.4630, 0.9895)
Al (0.9509, 0.6125, 0.2798)
Se (0.6451, 0.2178, 0.1333)
Al (0.6440, 0.6440, 0.6440)
Tb (0.9240, 0.7755, 0.5442)
Se (0.1904, 0.6163, 0.7015)
Se (0.4425, 0.6917, 0.5926)
Se (0.1060, 0.3382, 0.2428)
Se (0.9897, 0.3242, 0.6565)
Tb (0.2595, 0.1212, 0.8860)
Tb (0.4509, 0.0706, 0.2201)
Se (0.2095, 0.9604, 0.0569)
Se (0.9895, 0.5522, 0.4630)
Se (0.2725, 0.3792, 0.5179)
Tb (0.1212, 0.8860, 0.2595)
Se (0.0343, 0.5257, 0.9376)
Se (0.5926, 0.4425, 0.6917)
Se (0.7150, 0.8520, 0.6209)
Tb (0.2201, 0.4509, 0.0706)
Se (0.1563, 0.8249, 0.4890)
Tb (0.4494, 0.2296, 0.6013)
Tb (0.6013, 0.4494, 0.2296)
Tb (0.8976, 0.1258, 0.7542)
Se (0.1333, 0.6451, 0.2178)
Al (0.2798, 0.9509, 0.6125)
Se (0.7610, 0.0056, 0.9031)
Se (0.0569, 0.2095, 0.9604)
Se (0.7994, 0.3073, 0.8950)
Tb (0.7755, 0.5442, 0.9240)
Se (0.9376, 0.0343, 0.5257)
Tb (0.7542, 0.8976, 0.1258)
Tb (0.4176, 0.5629, 0.7907)
Se (0.4630, 0.9895, 0.5522)
Se (0.6917, 0.5926, 0.4425)
Se (0.2827, 0.3695, 0.8442)
Se (0.4890, 0.1563, 0.8249)
Se (0.6209, 0.7150, 0.8520)

## Properties
As for the formation energy: -1.780 eV per atom. The space group is R3 (146). The size of the total moment comes out at 0.00 μB/atom. As for the total energy after the MP2020 corrections: -5.604 eV/atom.

3.
Compound: AlTlSe2
Source: Materials Project
Functional: GGA-PBE
Structure: relaxed

Unit cell a=6.6701 b=6.6701 c=6.6701 alpha=103.46 beta=103.46 gamma=122.32
Positions (direct):
Se (0.8431, 0.3431, 0.1863)
Se (0.3431, 0.1569, 0.5000)
Tl (0.7500, 0.7500, 0.0000)
Al (0.7500, 0.2500, 0.5000)
Se (0.6569, 0.8431, 0.5000)
Tl (0.2500, 0.2500, 0.0000)
Se (0.1569, 0.6569, 0.8137)
Al (0.2500, 0.7500, 0.5000)

## Properties
As for the formation energy: -0.981 eV per atom. The space group is I4/mcm (140). As for the total energy after the MP2020 corrections: -4.256 eV/atom.